(1)
{
  "formula": "Na9Ta7Zn5P18O72",
  "functional": "GGA-PBE",
  "state": "relaxed",
  "lattice": [[8.801, 0.000, 0.000], [4.392, 7.648, 0.000], [0.001, 0.055, 22.521]],
  "species": ["Na", "Na", "Na", "Na", "Na", "Na", "Na", "Na", "Na", "Ta", "Ta", "Ta", "Ta", "Ta", "Ta", "Ta", "Zn", "Zn", "Zn", "Zn", "Zn", "P", "P", "P", "P", "P", "P", "P", "P", "P", "P", "P", "P", "P", "P", "P", "P", "P", "P", "O", "O", "O", "O", "O", "O", "O", "O", "O", "O", "O", "O", "O", "O", "O", "O", "O", "O", "O", "O", "O", "O", "O", "O", "O", "O", "O", "O", "O", "O", "O", "O", "O", "O", "O", "O", "O", "O", "O", "O", "O", "O", "O", "O", "O", "O", "O", "O", "O", "O", "O", "O", "O", "O", "O", "O", "O", "O", "O", "O", "O", "O", "O", "O", "O", "O", "O", "O", "O", "O", "O", "O"],
  "frac_coords": [[0.000, 0.000, 0.000], [0.000, 0.003, 0.496], [0.036, 0.657, 0.912], [0.334, 0.336, 0.319], [0.337, 0.333, 0.834], [0.645, 0.989, 0.745], [0.659, 0.679, 0.167], [0.668, 0.657, 0.665], [0.977, 0.324, 0.078], [0.001, 0.002, 0.340], [0.003, 0.007, 0.844], [0.330, 0.341, 0.680], [0.334, 0.336, 0.469], [0.337, 0.336, 0.177], [0.661, 0.674, 0.011], [0.667, 0.670, 0.510], [0.001, 0.003, 0.637], [0.001, 0.996, 0.140], [0.341, 0.330, 0.973], [0.667, 0.663, 0.806], [0.668, 0.669, 0.304], [0.044, 0.335, 0.573], [0.045, 0.631, 0.070], [0.291, 0.998, 0.737], [0.295, 0.712, 0.237], [0.333, 0.047, 0.072], [0.333, 0.627, 0.573], [0.378, 0.957, 0.405], [0.379, 0.666, 0.904], [0.624, 0.046, 0.574], [0.625, 0.333, 0.071], [0.661, 0.965, 0.903], [0.671, 0.379, 0.405], [0.710, 0.999, 0.237], [0.715, 0.296, 0.737], [0.955, 0.672, 0.405], [0.958, 0.380, 0.906], [0.997, 0.298, 0.236], [0.999, 0.715, 0.739], [0.014, 0.812, 0.079], [0.026, 0.176, 0.575], [0.028, 0.171, 0.293], [0.031, 0.799, 0.796], [0.134, 0.365, 0.628], [0.136, 0.502, 0.125], [0.141, 0.353, 0.914], [0.143, 0.550, 0.013], [0.144, 0.511, 0.418], [0.158, 0.322, 0.518], [0.171, 0.804, 0.295], [0.172, 0.031, 0.794], [0.173, 0.530, 0.732], [0.173, 0.804, 0.575], [0.175, 0.304, 0.233], [0.177, 0.021, 0.081], [0.191, 0.843, 0.899], [0.192, 0.978, 0.401], [0.209, 0.975, 0.682], [0.210, 0.819, 0.183], [0.300, 0.159, 0.018], [0.301, 0.529, 0.233], [0.303, 0.175, 0.732], [0.320, 0.526, 0.518], [0.339, 0.519, 0.912], [0.349, 0.145, 0.418], [0.363, 0.507, 0.628], [0.365, 0.136, 0.128], [0.467, 0.697, 0.961], [0.468, 0.841, 0.462], [0.476, 0.683, 0.248], [0.478, 0.852, 0.745], [0.482, 0.645, 0.849], [0.488, 0.887, 0.351], [0.506, 0.635, 0.565], [0.507, 0.364, 0.128], [0.507, 0.863, 0.065], [0.508, 0.133, 0.630], [0.510, 0.351, 0.418], [0.511, 0.145, 0.912], [0.522, 0.162, 0.519], [0.526, 0.177, 0.234], [0.529, 0.300, 0.732], [0.544, 0.310, 0.016], [0.630, 0.490, 0.351], [0.633, 0.865, 0.565], [0.637, 0.509, 0.066], [0.645, 0.883, 0.846], [0.681, 0.478, 0.745], [0.681, 0.847, 0.247], [0.695, 0.471, 0.462], [0.698, 0.836, 0.958], [0.801, 0.171, 0.793], [0.802, 0.030, 0.295], [0.803, 0.028, 0.575], [0.813, 0.186, 0.079], [0.815, 0.980, 0.183], [0.818, 0.211, 0.682], [0.835, 0.194, 0.401], [0.839, 0.697, 0.462], [0.841, 0.465, 0.963], [0.843, 0.968, 0.899], [0.844, 0.477, 0.247], [0.844, 0.687, 0.746], [0.860, 0.635, 0.066], [0.863, 0.508, 0.566], [0.876, 0.494, 0.852], [0.885, 0.631, 0.351], [0.968, 0.196, 0.899], [0.969, 0.828, 0.684], [0.976, 0.836, 0.401], [0.978, 0.216, 0.180]],
  "sg": "P1, No. 1",
  "crystal_system": "triclinic"
}

=====

(2)
{
  "formula": "Na12TaZn5P9O36",
  "functional": "GGA-PBE",
  "state": "relaxed",
  "lattice": [[9.101, 0.000, 0.000], [-4.550, 7.882, 0.000], [0.000, 0.000, 21.890]],
  "species": ["Na", "Na", "Na", "Na", "Na", "Na", "Na", "Na", "Na", "Na", "Na", "Na", "Na", "Na", "Na", "Na", "Na", "Na", "Na", "Na", "Na", "Na", "Na", "Na", "Ta", "Ta", "Zn", "Zn", "Zn", "Zn", "Zn", "Zn", "Zn", "Zn", "Zn", "Zn", "P", "P", "P", "P", "P", "P", "P", "P", "P", "P", "P", "P", "P", "P", "P", "P", "P", "P", "O", "O", "O", "O", "O", "O", "O", "O", "O", "O", "O", "O", "O", "O", "O", "O", "O", "O", "O", "O", "O", "O", "O", "O", "O", "O", "O", "O", "O", "O", "O", "O", "O", "O", "O", "O", "O", "O", "O", "O", "O", "O", "O", "O", "O", "O", "O", "O", "O", "O", "O", "O", "O", "O", "O", "O", "O", "O", "O", "O", "O", "O", "O", "O", "O", "O", "O", "O", "O", "O", "O", "O"],
  "frac_coords": [[0.000, 0.000, 0.072], [0.000, 0.000, 0.572], [0.035, 0.352, 0.156], [0.035, 0.683, 0.656], [0.317, 0.352, 0.656], [0.317, 0.965, 0.156], [0.333, 0.667, 0.250], [0.333, 0.667, 0.750], [0.334, 0.034, 0.500], [0.334, 0.299, 0.000], [0.376, 0.001, 0.839], [0.376, 0.376, 0.339], [0.624, 0.001, 0.339], [0.624, 0.624, 0.839], [0.648, 0.683, 0.156], [0.648, 0.965, 0.656], [0.667, 0.333, 0.420], [0.667, 0.333, 0.920], [0.701, 0.034, 0.000], [0.701, 0.666, 0.500], [0.966, 0.299, 0.500], [0.966, 0.666, 0.000], [0.999, 0.376, 0.839], [0.999, 0.624, 0.339], [0.000, 0.000, 0.232], [0.000, 0.000, 0.732], [0.000, 0.000, 0.432], [0.000, 0.000, 0.932], [0.333, 0.667, 0.091], [0.333, 0.667, 0.407], [0.333, 0.667, 0.591], [0.333, 0.667, 0.907], [0.667, 0.333, 0.069], [0.667, 0.333, 0.264], [0.667, 0.333, 0.569], [0.667, 0.333, 0.764], [0.033, 0.368, 0.000], [0.033, 0.665, 0.500], [0.297, 0.003, 0.336], [0.297, 0.294, 0.836], [0.335, 0.368, 0.500], [0.335, 0.967, 0.000], [0.368, 0.036, 0.669], [0.368, 0.332, 0.169], [0.632, 0.665, 0.000], [0.632, 0.967, 0.500], [0.668, 0.036, 0.169], [0.668, 0.632, 0.669], [0.706, 0.003, 0.836], [0.706, 0.703, 0.336], [0.964, 0.332, 0.669], [0.964, 0.632, 0.169], [0.997, 0.294, 0.336], [0.997, 0.703, 0.836], [0.009, 0.187, 0.279], [0.009, 0.822, 0.779], [0.015, 0.189, 0.997], [0.015, 0.826, 0.497], [0.116, 0.476, 0.942], [0.116, 0.641, 0.442], [0.140, 0.452, 0.058], [0.140, 0.688, 0.558], [0.146, 0.484, 0.663], [0.146, 0.662, 0.163], [0.164, 0.466, 0.332], [0.164, 0.698, 0.832], [0.174, 0.189, 0.497], [0.174, 0.985, 0.997], [0.178, 0.187, 0.779], [0.178, 0.991, 0.279], [0.182, 0.016, 0.675], [0.182, 0.166, 0.175], [0.215, 0.025, 0.393], [0.215, 0.189, 0.893], [0.302, 0.466, 0.832], [0.302, 0.836, 0.332], [0.312, 0.452, 0.558], [0.312, 0.860, 0.058], [0.338, 0.484, 0.163], [0.338, 0.854, 0.663], [0.359, 0.476, 0.442], [0.359, 0.884, 0.942], [0.440, 0.149, 0.612], [0.440, 0.292, 0.112], [0.472, 0.116, 0.726], [0.472, 0.356, 0.226], [0.474, 0.160, 0.329], [0.474, 0.313, 0.829], [0.496, 0.146, 0.004], [0.496, 0.350, 0.504], [0.516, 0.662, 0.663], [0.516, 0.854, 0.163], [0.524, 0.641, 0.942], [0.524, 0.884, 0.442], [0.534, 0.698, 0.332], [0.534, 0.836, 0.832], [0.548, 0.688, 0.058], [0.548, 0.860, 0.558], [0.644, 0.116, 0.226], [0.644, 0.528, 0.726], [0.650, 0.146, 0.504], [0.650, 0.504, 0.004], [0.687, 0.160, 0.829], [0.687, 0.526, 0.329], [0.708, 0.149, 0.112], [0.708, 0.560, 0.612], [0.811, 0.025, 0.893], [0.811, 0.785, 0.393], [0.811, 0.826, 0.997], [0.811, 0.985, 0.497], [0.813, 0.822, 0.279], [0.813, 0.991, 0.779], [0.834, 0.016, 0.175], [0.834, 0.818, 0.675], [0.840, 0.313, 0.329], [0.840, 0.526, 0.829], [0.851, 0.292, 0.612], [0.851, 0.560, 0.112], [0.854, 0.350, 0.004], [0.854, 0.504, 0.504], [0.884, 0.356, 0.726], [0.884, 0.528, 0.226], [0.975, 0.189, 0.393], [0.975, 0.785, 0.893], [0.984, 0.166, 0.675], [0.984, 0.818, 0.175]],
  "sg": "P3c1, No. 158",
  "crystal_system": "trigonal"
}

=====

no.,energy of formation (kJ/mol of atoms),total DFT energy (no corrections) (eV per atom)
1,-266,-7.311
2,-245,-6.287